# Sr2MnWO6

A relaxed structure of Sr2MnWO6 (PBE+U, the Materials Project).

Total magnetization, μB per formula unit: 5.00
Symmetry: Fm-3m, No. 225
E (MP2020), eV per atom: -8.25

Unit cell a=5.7672 b=5.7672 c=5.7672 alpha=60.00 beta=60.00 gamma=60.00
Sites, in units of the cell vectors:
1 Sr 0.2500 0.2500 0.2500
2 O 0.7389 0.7389 0.2611
3 Sr 0.7500 0.7500 0.7500
4 O 0.7389 0.2611 0.7389
5 Mn 0.0000 0.0000 0.0000
6 O 0.2611 0.7389 0.2611
7 W 0.5000 0.5000 0.5000
8 O 0.7389 0.2611 0.2611
9 O 0.2611 0.7389 0.7389
10 O 0.2611 0.2611 0.7389